1.
# SiO2 (PBE, optimized geometry)
data_SiO2
_chemical_formula_sum 'Si36 O72'
_symmetry_space_group_name_H-M 'C m m m'
_symmetry_Int_Tables_number 65
_symmetry_space_group_name_Hall '-C 2 2'
_cell_length_a 14.4258
_cell_length_b 18.9844
_cell_length_c 7.5984
_cell_angle_alpha 90.00
_cell_angle_beta 90.00
_cell_angle_gamma 90.00
loop_
_atom_site_label
_atom_site_type_symbol
_atom_site_fract_x
_atom_site_fract_y
_atom_site_fract_z
_atom_site_occupancy
Si1 Si 0.0000 0.1491 0.2050 1
Si2 Si 0.0000 0.2684 0.5000 1
Si3 Si 0.1988 0.0823 0.2063 1
Si4 Si 0.2020 0.3271 0.5000 1
O1 O 0.0000 0.1739 0.0000 1
O2 O 0.0000 0.2195 0.3246 1
O3 O 0.0903 0.3190 0.5000 1
O4 O 0.0909 0.1015 0.2479 1
O5 O 0.2160 0.0000 0.2546 1
O6 O 0.2220 0.0971 0.0000 1
O7 O 0.2324 0.3697 0.3240 1
O8 O 0.2500 0.2500 0.5000 1
# Formation enthalpy at 0 K: -3.256 eV/atom

2.
# PdPbF4 (PBE, optimized geometry)
data_PdPbF4
_chemical_formula_sum 'Pd4 Pb4 F16'
_symmetry_space_group_name_H-M 'I 4/m c m'
_symmetry_Int_Tables_number 140
_symmetry_space_group_name_Hall '-I 4 2c'
_cell_length_a 5.9891
_cell_length_b 5.9891
_cell_length_c 10.9491
_cell_angle_alpha 90.00
_cell_angle_beta 90.00
_cell_angle_gamma 90.00
loop_
_atom_site_label
_atom_site_type_symbol
_atom_site_fract_x
_atom_site_fract_y
_atom_site_fract_z
_atom_site_occupancy
Pd1 Pd 0.0000 0.5000 0.0000 1
Pb1 Pb 0.0000 0.0000 0.2500 1
F1 F 0.1687 0.3313 0.1302 1
# Formation enthalpy at 0 K: -2.088 eV/atom

3.
# RbCuTeS3 (PBE, optimized geometry)
data_RbCuTeS3
_chemical_formula_sum 'Rb4 Cu4 Te4 S12'
_symmetry_space_group_name_H-M 'P 1 21/c 1'
_symmetry_Int_Tables_number 14
_cell_length_a 7.5233
_cell_length_b 10.6327
_cell_length_c 8.2283
_cell_angle_alpha 90.00
_cell_angle_beta 105.86
_cell_angle_gamma 90.00
loop_
_symmetry_equiv_pos_as_xyz
'x,y,z'
'-x,-y,-z'
'-x,y+1/2,-z+1/2'
'x,-y+1/2,z+1/2'
loop_
_atom_site_label
_atom_site_type_symbol
_atom_site_fract_x
_atom_site_fract_y
_atom_site_fract_z
_atom_site_occupancy
Rb1 Rb 0.0261 0.2369 0.3844 1
Cu1 Cu 0.4167 0.7497 0.4793 1
Te1 Te 0.4358 0.5021 0.7327 1
S1 S 0.2443 0.5660 0.9094 1
S2 S 0.2468 0.5642 0.4602 1
S3 S 0.3955 0.2261 0.2251 1
# Formation enthalpy at 0 K: -0.672 eV/atom
# M_tot: 0.00 μB/f.u.

4.
# ZnSnF5 (PBE, optimized geometry)
data_ZnSnF5
_chemical_formula_sum 'Zn4 Sn4 F20'
_symmetry_space_group_name_H-M 'C 1 2/c 1'
_symmetry_Int_Tables_number 15
_cell_length_a 8.8899
_cell_length_b 6.9663
_cell_length_c 8.3492
_cell_angle_alpha 90.00
_cell_angle_beta 118.09
_cell_angle_gamma 90.00
loop_
_symmetry_equiv_pos_as_xyz
'x,y,z'
'-x,-y,-z'
'-x,y,-z+1/2'
'x,-y,z+1/2'
'x+1/2,y+1/2,z'
'-x+1/2,-y+1/2,-z'
'-x+1/2,y+1/2,-z+1/2'
'x+1/2,-y+1/2,z+1/2'
loop_
_atom_site_label
_atom_site_type_symbol
_atom_site_fract_x
_atom_site_fract_y
_atom_site_fract_z
_atom_site_occupancy
Zn1 Zn 0.0000 0.0290 0.2500 1
Sn1 Sn 0.0000 0.5000 0.0000 1
F1 F 0.0000 0.4255 0.7500 1
F2 F 0.0301 0.2026 0.4525 1
F3 F 0.2309 0.0619 0.8534 1
# Polymorph energy (0 for the lowest one): 0 meV per atom
# Formation enthalpy at 0 K: -2.556 eV/atom
# M_tot: 0.00 μB/f.u.

5.
# Os3C9SO13 (PBE, optimized geometry)
data_Os3C9SO13
_chemical_formula_sum 'Os24 C72 S8 O104'
_symmetry_space_group_name_H-M 'C 1 2/c 1'
_symmetry_Int_Tables_number 15
_cell_length_a 30.0696
_cell_length_b 8.6402
_cell_length_c 14.0161
_cell_angle_alpha 90.00
_cell_angle_beta 100.77
_cell_angle_gamma 90.00
loop_
_symmetry_equiv_pos_as_xyz
'x,y,z'
'-x,-y,-z'
'-x,y,-z+1/2'
'x,-y,z+1/2'
'x+1/2,y+1/2,z'
'-x+1/2,-y+1/2,-z'
'-x+1/2,y+1/2,-z+1/2'
'x+1/2,-y+1/2,z+1/2'
loop_
_atom_site_label
_atom_site_type_symbol
_atom_site_fract_x
_atom_site_fract_y
_atom_site_fract_z
_atom_site_occupancy
Os1 Os 0.0891 0.1879 0.4594 1
Os2 Os 0.1106 0.4928 0.5497 1
Os3 Os 0.1805 0.2357 0.5879 1
C1 C 0.0322 0.2550 0.3925 1
C2 C 0.0557 0.4256 0.9806 1
C3 C 0.0623 0.1169 0.5625 1
C4 C 0.0817 0.0090 0.8949 1
C5 C 0.0843 0.4426 0.6580 1
C6 C 0.1301 0.3076 0.1014 1
C7 C 0.1648 0.1680 0.7054 1
C8 C 0.2122 0.0485 0.5733 1
C9 C 0.2328 0.3361 0.6579 1
S1 S 0.1614 0.3948 0.3806 1
O1 O 0.0031 0.2987 0.1471 1
O2 O 0.0219 0.3754 0.9374 1
O3 O 0.0442 0.0708 0.6235 1
O4 O 0.0668 0.4157 0.7236 1
O5 O 0.0761 0.1308 0.8600 1
O6 O 0.1239 0.2767 0.3505 1
O7 O 0.1416 0.1859 0.1316 1
O8 O 0.1436 0.4673 0.9292 1
O9 O 0.1573 0.1273 0.7797 1
O10 O 0.1799 0.4435 0.2981 1
O11 O 0.1976 0.3166 0.4553 1
O12 O 0.2295 0.0678 0.0602 1
O13 O 0.2365 0.0949 0.3008 1
# Formation enthalpy at 0 K: -1.048 eV/atom
# M_tot: 1.93 μB/f.u.